Compound: Er3FeB7
Source: the Materials Project
Functional: PBE-GGA
Structure: optimized geometry

Cell and atoms, written as POSCAR:
```
Er3FeB7
1.0
-6.592 -0.488 4.444
4.398 -1.008 -6.564
2.686 -8.295 3.073
Er B Fe
6 14 2
direct
0.895 0.105 0.060 Er
0.105 0.895 0.560 Er
0.105 0.895 0.940 Er
0.756 0.244 0.750 Er
0.895 0.105 0.440 Er
0.244 0.756 0.250 Er
0.458 0.542 0.250 B
0.370 0.630 0.847 B
0.542 0.458 0.750 B
0.521 0.479 0.098 B
0.479 0.521 0.598 B
0.370 0.630 0.653 B
0.727 0.273 0.467 B
0.630 0.370 0.153 B
0.273 0.727 0.967 B
0.273 0.727 0.533 B
0.479 0.521 0.902 B
0.727 0.273 0.033 B
0.521 0.479 0.402 B
0.630 0.370 0.347 B
0.946 0.054 0.750 Fe
0.054 0.946 0.250 Fe
```

Output
- SG: Cmcm, No. 63

***

Compound: ErFe4B
Source: the Materials Project
Functional: PBE-GGA
Structure: optimized geometry

Cell and atoms, written as POSCAR:
```
ErFe4B
1.0
-2.514 -4.354 0.000
-2.514 4.354 0.000
0.000 0.000 -7.019
Fe B Er
8 2 2
direct
0.667 0.333 0.000 Fe
0.500 0.000 0.284 Fe
0.333 0.667 0.000 Fe
0.000 0.500 0.284 Fe
0.500 0.500 0.716 Fe
0.000 0.500 0.716 Fe
0.500 0.500 0.284 Fe
0.500 0.000 0.716 Fe
0.667 0.333 0.500 B
0.333 0.667 0.500 B
0.000 0.000 0.000 Er
0.000 0.000 0.500 Er
```

Output
- SG: P6/mmm, No. 191

***

ΔH_f (0 K)? In order: -0.639; -0.250 eV per atom.